The following is a DFT calculation (GGA-PBE) of VS2 after structural relaxation.

The structure in extended XYZ format:
```
3
Lattice="1.597 0.922 6.430 -1.597 0.922 6.430 0.000 -1.844 6.430" Properties=species:S:1:pos:R:3 pbc="T T T"
V 0.000 0.000 0.000
S 0.000 0.000 4.965
S 0.000 0.000 14.325
```

Calculated values
Raw total energy (eV/atom): -6.63
ρ (g/cm3): 3.36
Formation energy from the elements (eV/f.u.): -3.5
Symmetry: R-3m (166)